1.
# Na3SrTiNb3O12

Crystalline Na3SrTiNb3O12 at its relaxed geometry (PBE, the Materials Project database).

Lattice parameters (Å, degrees): 8.014 7.926 11.195 45.09 90.00 90.00
Positions (direct):
Na 0.236 0.000 0.750
Na 0.232 0.500 0.250
Na 0.768 0.500 0.250
Na 0.232 0.500 0.750
Na 0.768 0.500 0.750
Na 0.764 0.000 0.250
Sr 0.761 0.000 0.750
Sr 0.239 0.000 0.250
Ti 0.000 0.000 0.500
Ti 0.000 0.000 0.000
Nb 0.000 0.500 0.000
Nb 0.500 0.500 0.000
Nb 0.500 0.000 0.500
Nb 0.500 0.000 0.000
Nb 0.000 0.500 0.500
Nb 0.500 0.500 0.500
O 0.002 0.727 0.025
O 0.002 0.273 0.475
O 0.492 0.797 0.953
O 0.005 0.781 0.748
O 0.499 0.293 0.249
O 0.749 0.518 0.992
O 0.750 0.003 0.507
O 0.251 0.482 0.008
O 0.250 0.997 0.493
O 0.501 0.707 0.751
O 0.995 0.219 0.252
O 0.998 0.273 0.975
O 0.508 0.203 0.047
O 0.998 0.727 0.525
O 0.508 0.797 0.453
O 0.995 0.781 0.248
O 0.501 0.293 0.749
O 0.250 0.003 0.007
O 0.251 0.518 0.492
O 0.750 0.997 0.993
O 0.749 0.482 0.508
O 0.499 0.707 0.251
O 0.005 0.219 0.752
O 0.492 0.203 0.547

Output
Energy in eV per atom: -7.742
ΔE to the lowest computed polymorph in eV/atom: 0.000

2.
# B5Pb2BrO9

Crystalline B5Pb2BrO9 at its relaxed geometry (PBE, the Materials Project database).

Lattice parameters (Å, degrees): 6.617 11.600 11.680 90.00 90.00 90.00
Positions (direct):
B 0.518 0.006 0.749
B 0.518 0.994 0.251
B 0.018 0.494 0.249
B 0.018 0.506 0.751
B 0.183 0.267 0.958
B 0.183 0.733 0.042
B 0.683 0.233 0.458
B 0.683 0.767 0.542
B 0.962 0.284 0.787
B 0.962 0.716 0.213
B 0.462 0.216 0.287
B 0.462 0.784 0.713
B 0.646 0.202 0.681
B 0.646 0.798 0.319
B 0.146 0.298 0.181
B 0.146 0.702 0.819
B 0.295 0.179 0.771
B 0.295 0.821 0.229
B 0.795 0.321 0.271
B 0.795 0.679 0.729
Pb 0.164 0.263 0.527
Pb 0.164 0.737 0.473
Pb 0.664 0.237 0.027
Pb 0.664 0.763 0.973
Pb 0.498 0.458 0.756
Pb 0.498 0.542 0.244
Pb 0.998 0.042 0.256
Pb 0.998 0.958 0.744
Br 0.145 0.000 0.500
Br 0.645 0.500 0.000
Br 0.396 0.500 0.500
Br 0.896 0.000 0.000
O 0.057 0.390 0.736
O 0.057 0.610 0.264
O 0.557 0.110 0.236
O 0.557 0.890 0.764
O 0.991 0.287 0.916
O 0.991 0.713 0.084
O 0.491 0.213 0.416
O 0.491 0.787 0.584
O 0.426 0.230 0.681
O 0.426 0.770 0.319
O 0.926 0.270 0.181
O 0.926 0.730 0.819
O 0.336 0.236 0.882
O 0.336 0.764 0.118
O 0.836 0.264 0.382
O 0.836 0.736 0.618
O 0.335 0.053 0.781
O 0.335 0.947 0.219
O 0.835 0.447 0.281
O 0.835 0.553 0.719
O 0.740 0.224 0.569
O 0.740 0.776 0.431
O 0.240 0.276 0.069
O 0.240 0.724 0.931
O 0.746 0.274 0.768
O 0.746 0.726 0.232
O 0.246 0.226 0.268
O 0.246 0.774 0.732
O 0.671 0.075 0.709
O 0.671 0.925 0.291
O 0.171 0.425 0.209
O 0.171 0.575 0.791
O 0.081 0.187 0.738
O 0.081 0.813 0.262
O 0.581 0.313 0.238
O 0.581 0.687 0.762

Output
Energy in eV per atom: -7.258

3.
# TcSbH2O2F10

Crystalline TcSbH2O2F10 at its relaxed geometry (PBE, the Materials Project database).

Lattice parameters (Å, degrees): 8.828 9.943 11.818 90.00 107.07 90.00
Positions (direct):
Tc 0.144 0.591 0.857
Tc 0.856 0.091 0.643
Tc 0.856 0.409 0.143
Tc 0.144 0.909 0.357
Sb 0.646 0.565 0.721
Sb 0.354 0.065 0.779
Sb 0.354 0.435 0.279
Sb 0.646 0.935 0.221
H 0.139 0.425 0.641
H 0.861 0.925 0.859
H 0.861 0.575 0.359
H 0.139 0.075 0.141
H 0.224 0.372 0.496
H 0.776 0.872 0.004
H 0.776 0.628 0.504
H 0.224 0.128 0.996
O 0.342 0.578 0.892
O 0.658 0.078 0.608
O 0.658 0.422 0.108
O 0.342 0.922 0.392
O 0.117 0.710 0.951
O 0.883 0.210 0.549
O 0.883 0.290 0.049
O 0.117 0.790 0.451
F 0.103 0.689 0.719
F 0.897 0.189 0.781
F 0.897 0.311 0.281
F 0.103 0.811 0.219
F 0.100 0.436 0.928
F 0.900 0.936 0.572
F 0.900 0.564 0.072
F 0.100 0.064 0.428
F 0.118 0.425 0.720
F 0.882 0.925 0.780
F 0.882 0.575 0.280
F 0.118 0.075 0.220
F 0.137 0.408 0.521
F 0.863 0.908 0.979
F 0.863 0.592 0.479
F 0.137 0.092 0.021
F 0.653 0.449 0.851
F 0.347 0.949 0.649
F 0.347 0.551 0.149
F 0.653 0.051 0.351
F 0.647 0.719 0.817
F 0.353 0.219 0.683
F 0.353 0.281 0.183
F 0.647 0.781 0.317
F 0.421 0.565 0.662
F 0.579 0.065 0.838
F 0.579 0.435 0.338
F 0.421 0.935 0.162
F 0.672 0.677 0.594
F 0.328 0.177 0.906
F 0.328 0.323 0.406
F 0.672 0.823 0.094
F 0.669 0.414 0.629
F 0.331 0.914 0.871
F 0.331 0.586 0.371
F 0.669 0.086 0.129
F 0.883 0.572 0.783
F 0.117 0.072 0.717
F 0.117 0.428 0.217
F 0.883 0.928 0.283

Output
Energy in eV per atom: -5.018

4.
# NaBOF2

Crystalline NaBOF2 at its relaxed geometry (PBE, the Materials Project database).

Lattice parameters (Å, degrees): 6.917 6.917 9.443 69.68 69.68 60.35
Positions (direct):
Na 0.000 0.500 0.000
Na 0.500 0.000 0.500
Na 0.131 0.682 0.498
Na 0.318 0.869 0.002
Na 0.869 0.318 0.502
Na 0.682 0.131 0.998
B 0.789 0.211 0.250
B 0.211 0.789 0.750
B 0.371 0.421 0.246
B 0.579 0.629 0.254
B 0.629 0.579 0.754
B 0.421 0.371 0.746
O 0.582 0.218 0.245
O 0.782 0.418 0.255
O 0.418 0.782 0.755
O 0.218 0.582 0.745
O 0.377 0.623 0.250
O 0.623 0.377 0.750
F 0.200 0.373 0.382
F 0.627 0.800 0.118
F 0.800 0.627 0.618
F 0.373 0.200 0.882
F 0.873 0.034 0.385
F 0.966 0.127 0.115
F 0.127 0.966 0.615
F 0.034 0.873 0.885
F 0.282 0.466 0.112
F 0.534 0.718 0.388
F 0.718 0.534 0.888
F 0.466 0.282 0.612

Output
Energy in eV per atom: -6.083

Number 1: size of the total moment 0.00 μB/f.u.. Number 2: size of the total moment 0.00 μB/f.u.. Number 3: size of the total moment 0.01 μB/f.u.. Number 4: size of the total moment 0.00 μB/f.u..